This record from Materials Project describes a relaxed Sm9Al5Se21 crystal. The functional is GGA-PBE.

Cell: 12.1412 12.1412 12.1412 Å, 95.19 95.19 95.19°
Fractional positions:
1 Sm 0.0252 0.1732 0.8016
2 Sm 0.0263 0.7936 0.6476
3 Sm 0.1191 0.3526 0.4970
4 Sm 0.1353 0.9942 0.3656
5 Sm 0.1732 0.8016 0.0252
6 Sm 0.3284 0.6998 0.4693
7 Sm 0.3526 0.4970 0.1191
8 Sm 0.3656 0.1353 0.9942
9 Sm 0.4615 0.6972 0.8330
10 Sm 0.4693 0.3284 0.6998
11 Sm 0.4970 0.1191 0.3526
12 Sm 0.6476 0.0263 0.7936
13 Sm 0.6972 0.8330 0.4615
14 Sm 0.6998 0.4693 0.3284
15 Sm 0.7936 0.6476 0.0263
16 Sm 0.8016 0.0252 0.1732
17 Sm 0.8330 0.4615 0.6972
18 Sm 0.9942 0.3656 0.1353
19 Al 0.0246 0.6904 0.3522
20 Al 0.1878 0.5247 0.8548
21 Al 0.2242 0.2242 0.2242
22 Al 0.3522 0.0246 0.6904
23 Al 0.4111 0.4111 0.4111
24 Al 0.5247 0.8548 0.1878
25 Al 0.6904 0.3522 0.0246
26 Al 0.7245 0.7245 0.7245
27 Al 0.8548 0.1878 0.5247
28 Al 0.9115 0.9115 0.9115
29 Se 0.0224 0.1760 0.2699
30 Se 0.0359 0.1274 0.5606
31 Se 0.0636 0.3991 0.7315
32 Se 0.0985 0.9563 0.8554
33 Se 0.0997 0.6083 0.5105
34 Se 0.1274 0.5606 0.0359
35 Se 0.1760 0.2699 0.0224
36 Se 0.1869 0.7644 0.2760
37 Se 0.2029 0.4325 0.2930
38 Se 0.2180 0.7052 0.7936
39 Se 0.2315 0.8988 0.5638
40 Se 0.2699 0.0224 0.1760
41 Se 0.2760 0.1869 0.7644
42 Se 0.2930 0.2029 0.4325
43 Se 0.3409 0.4856 0.5832
44 Se 0.3727 0.4702 0.8804
45 Se 0.3991 0.7315 0.0636
46 Se 0.4196 0.9440 0.8538
47 Se 0.4325 0.2930 0.2029
48 Se 0.4702 0.8804 0.3727
49 Se 0.4856 0.5832 0.3409
50 Se 0.5105 0.0997 0.6083
51 Se 0.5429 0.7903 0.6351
52 Se 0.5606 0.0359 0.1274
53 Se 0.5638 0.2315 0.8988
54 Se 0.5832 0.3409 0.4856
55 Se 0.6083 0.5105 0.0997
56 Se 0.6351 0.5429 0.7903
57 Se 0.6864 0.8250 0.9165
58 Se 0.7052 0.7936 0.2180
59 Se 0.7315 0.0636 0.3991
60 Se 0.7644 0.2760 0.1869
61 Se 0.7903 0.6351 0.5429
62 Se 0.7936 0.2180 0.7052
63 Se 0.8250 0.9165 0.6864
64 Se 0.8538 0.4196 0.9440
65 Se 0.8554 0.0985 0.9563
66 Se 0.8804 0.3727 0.4702
67 Se 0.8988 0.5638 0.2315
68 Se 0.9165 0.6864 0.8250
69 Se 0.9440 0.8538 0.4196
70 Se 0.9563 0.8554 0.0985

Properties
DFT formation energy ... -1798 meV per atom
Symmetry ... R3, No. 146
E ... -5.360 eV/atom